Entry 1:
Here is a relaxed Na2LiFePCO7 crystal from the Materials Project. Energies are from GGA+U.

**E above lowest polymorph**: 0 kJ/mol of formula units
**Space group**: P1
**Total DFT energy (no corrections)**: -6.543 eV per atom
**Formation enthalpy at 0 K**: -2.29 eV per atom

The structure in CIF format:
```
data_Na2LiFePCO7
_cell_length_a 5.161
_cell_length_b 6.655
_cell_length_c 8.861
_cell_angle_alpha 89.02
_cell_angle_beta 87.95
_cell_angle_gamma 89.86
_symmetry_space_group_name_H-M 'P 1'
_symmetry_Int_Tables_number 1
loop_
_symmetry_equiv_pos_as_xyz
'x,y,z'
loop_
_atom_site_label
_atom_site_type_symbol
_atom_site_fract_x
_atom_site_fract_y
_atom_site_fract_z
_atom_site_occupancy
Na1 Na 0.000 0.000 0.000 1
Na2 Na 0.001 0.492 0.000 1
Na3 Na 0.010 0.735 0.343 1
Na4 Na 0.503 0.997 0.521 1
Li1 Li 0.486 0.519 0.541 1
Li2 Li 0.500 0.260 0.172 1
Fe1 Fe 0.037 0.252 0.609 1
Fe2 Fe 0.472 0.744 0.909 1
P1 P 0.550 0.250 0.847 1
P2 P 0.964 0.743 0.671 1
C1 C 0.521 0.737 0.208 1
C2 C 0.964 0.250 0.312 1
O1 O 0.028 0.937 0.576 1
O2 O 0.076 0.565 0.576 1
O3 O 0.084 0.749 0.828 1
O4 O 0.208 0.245 0.345 1
O5 O 0.299 0.742 0.143 1
O6 O 0.423 0.266 0.691 1
O7 O 0.464 0.058 0.939 1
O8 O 0.470 0.429 0.953 1
O9 O 0.533 0.724 0.354 1
O10 O 0.662 0.722 0.690 1
O11 O 0.732 0.744 0.123 1
O12 O 0.785 0.262 0.420 1
O13 O 0.850 0.249 0.823 1
O14 O 0.893 0.242 0.173 1
```

=====

Entry 2:
Here is a relaxed Na2LiFePCO7 crystal from the Materials Project. Energies are from GGA+U.

**E above lowest polymorph**: 7 kJ/mol of formula units
**Space group**: Pc
**Total DFT energy (no corrections)**: -6.537 eV per atom
**Formation enthalpy at 0 K**: -2.29 eV per atom

The structure in CIF format:
```
data_Na2LiFePCO7
_cell_length_a 8.910
_cell_length_b 6.615
_cell_length_c 10.301
_cell_angle_alpha 90.00
_cell_angle_beta 91.61
_cell_angle_gamma 90.00
_symmetry_space_group_name_H-M 'P 1'
_symmetry_Int_Tables_number 1
loop_
_symmetry_equiv_pos_as_xyz
'x,y,z'
loop_
_atom_site_label
_atom_site_type_symbol
_atom_site_fract_x
_atom_site_fract_y
_atom_site_fract_z
_atom_site_occupancy
Na1 Na 0.000 0.001 0.000 1
Na2 Na 0.000 0.999 0.500 1
Na3 Na 0.178 0.251 0.754 1
Na4 Na 0.178 0.749 0.254 1
Na5 Na 0.655 0.251 0.505 1
Na6 Na 0.655 0.749 0.005 1
Na7 Na 0.656 0.252 0.006 1
Na8 Na 0.656 0.748 0.506 1
Li1 Li 0.190 0.241 0.258 1
Li2 Li 0.190 0.759 0.758 1
Li3 Li 0.832 0.492 0.255 1
Li4 Li 0.832 0.508 0.755 1
Fe1 Fe 0.266 0.498 0.488 1
Fe2 Fe 0.266 0.502 0.988 1
Fe3 Fe 0.565 0.001 0.771 1
Fe4 Fe 0.565 0.999 0.271 1
P1 P 0.328 0.005 0.027 1
P2 P 0.328 0.995 0.527 1
P3 P 0.504 0.494 0.230 1
P4 P 0.504 0.506 0.730 1
C1 C 0.863 0.008 0.246 1
C2 C 0.863 0.992 0.746 1
C3 C 0.970 0.498 0.019 1
C4 C 0.970 0.502 0.519 1
O1 O 0.008 0.027 0.240 1
O2 O 0.008 0.973 0.740 1
O3 O 0.011 0.500 0.399 1
O4 O 0.011 0.500 0.899 1
O5 O 0.071 0.494 0.114 1
O6 O 0.071 0.506 0.614 1
O7 O 0.232 0.184 0.487 1
O8 O 0.232 0.816 0.987 1
O9 O 0.233 0.192 0.982 1
O10 O 0.233 0.808 0.482 1
O11 O 0.347 0.014 0.179 1
O12 O 0.347 0.986 0.679 1
O13 O 0.350 0.479 0.296 1
O14 O 0.350 0.521 0.796 1
O15 O 0.478 0.499 0.080 1
O16 O 0.478 0.501 0.580 1
O17 O 0.482 0.001 0.964 1
O18 O 0.482 0.999 0.464 1
O19 O 0.596 0.315 0.773 1
O20 O 0.596 0.685 0.273 1
O21 O 0.609 0.312 0.267 1
O22 O 0.609 0.688 0.767 1
O23 O 0.780 0.002 0.640 1
O24 O 0.780 0.998 0.140 1
O25 O 0.798 0.001 0.857 1
O26 O 0.798 0.999 0.357 1
O27 O 0.830 0.499 0.548 1
O28 O 0.830 0.501 0.048 1
```

=====

Entry 3:
Here is a relaxed Li12Fe3NiP4C4O28 crystal from the Materials Project. Energies are from GGA+U.

**Space group**: Pm
**Total DFT energy (no corrections)**: -6.606 eV per atom
**Formation enthalpy at 0 K**: -2.32 eV per atom

The structure in CIF format:
```
data_Li12Fe3NiP4C4O28
_cell_length_a 8.472
_cell_length_b 6.439
_cell_length_c 9.998
_cell_angle_alpha 90.00
_cell_angle_beta 94.74
_cell_angle_gamma 90.00
_symmetry_space_group_name_H-M 'P 1'
_symmetry_Int_Tables_number 1
loop_
_symmetry_equiv_pos_as_xyz
'x,y,z'
loop_
_atom_site_label
_atom_site_type_symbol
_atom_site_fract_x
_atom_site_fract_y
_atom_site_fract_z
_atom_site_occupancy
Li1 Li 0.000 0.000 0.000 1
Li2 Li 0.001 0.000 0.499 1
Li3 Li 0.181 0.228 0.259 1
Li4 Li 0.181 0.229 0.755 1
Li5 Li 0.181 0.771 0.755 1
Li6 Li 0.181 0.772 0.259 1
Li7 Li 0.630 0.273 0.506 1
Li8 Li 0.630 0.727 0.506 1
Li9 Li 0.631 0.272 0.003 1
Li10 Li 0.631 0.728 0.003 1
Li11 Li 0.810 0.500 0.762 1
Li12 Li 0.813 0.500 0.262 1
Fe1 Fe 0.239 0.500 0.987 1
Fe2 Fe 0.570 0.000 0.772 1
Fe3 Fe 0.572 0.000 0.276 1
Ni1 Ni 0.239 0.500 0.485 1
P1 P 0.318 0.000 0.021 1
P2 P 0.318 0.000 0.522 1
P3 P 0.493 0.500 0.242 1
P4 P 0.493 0.500 0.739 1
C1 C 0.871 0.000 0.231 1
C2 C 0.871 0.000 0.732 1
C3 C 0.940 0.500 0.030 1
C4 C 0.945 0.500 0.529 1
O1 O 0.018 0.000 0.201 1
O2 O 0.018 0.000 0.702 1
O3 O 0.054 0.500 0.127 1
O4 O 0.061 0.500 0.624 1
O5 O 0.215 0.187 0.968 1
O6 O 0.215 0.188 0.468 1
O7 O 0.215 0.812 0.468 1
O8 O 0.215 0.813 0.968 1
O9 O 0.326 0.500 0.294 1
O10 O 0.327 0.500 0.792 1
O11 O 0.334 0.000 0.678 1
O12 O 0.336 0.000 0.177 1
O13 O 0.473 0.500 0.582 1
O14 O 0.475 0.500 0.086 1
O15 O 0.485 0.000 0.969 1
O16 O 0.486 0.000 0.473 1
O17 O 0.596 0.313 0.295 1
O18 O 0.596 0.313 0.792 1
O19 O 0.596 0.687 0.295 1
O20 O 0.596 0.687 0.792 1
O21 O 0.757 0.000 0.636 1
O22 O 0.758 0.000 0.134 1
O23 O 0.794 0.500 0.060 1
O24 O 0.799 0.500 0.560 1
O25 O 0.835 0.000 0.354 1
O26 O 0.835 0.000 0.855 1
O27 O 0.977 0.500 0.907 1
O28 O 0.980 0.500 0.406 1
```

=====

Entry 4:
Here is a relaxed Li2FeCO4 crystal from the Materials Project. Energies are from GGA+U.

**Space group**: P2_1/c
**Total DFT energy (no corrections)**: -6.511 eV per atom
**Formation enthalpy at 0 K**: -1.97 eV per atom

The structure in CIF format:
```
data_Li2FeCO4
_cell_length_a 7.012
_cell_length_b 5.022
_cell_length_c 11.003
_cell_angle_alpha 90.00
_cell_angle_beta 98.51
_cell_angle_gamma 90.00
_symmetry_space_group_name_H-M 'P 1'
_symmetry_Int_Tables_number 1
loop_
_symmetry_equiv_pos_as_xyz
'x,y,z'
loop_
_atom_site_label
_atom_site_type_symbol
_atom_site_fract_x
_atom_site_fract_y
_atom_site_fract_z
_atom_site_occupancy
Li1 Li 0.115 0.156 0.288 1
Li2 Li 0.115 0.344 0.788 1
Li3 Li 0.214 0.177 0.569 1
Li4 Li 0.214 0.323 0.069 1
Li5 Li 0.786 0.677 0.931 1
Li6 Li 0.786 0.823 0.431 1
Li7 Li 0.885 0.656 0.212 1
Li8 Li 0.885 0.844 0.712 1
Fe1 Fe 0.487 0.641 0.666 1
Fe2 Fe 0.487 0.859 0.166 1
Fe3 Fe 0.513 0.141 0.834 1
Fe4 Fe 0.513 0.359 0.334 1
C1 C 0.191 0.677 0.437 1
C2 C 0.191 0.823 0.937 1
C3 C 0.809 0.177 0.063 1
C4 C 0.809 0.323 0.563 1
O1 O 0.058 0.701 0.863 1
O2 O 0.058 0.799 0.363 1
O3 O 0.223 0.077 0.925 1
O4 O 0.223 0.423 0.425 1
O5 O 0.292 0.688 0.025 1
O6 O 0.292 0.812 0.525 1
O7 O 0.345 0.159 0.214 1
O8 O 0.345 0.341 0.714 1
O9 O 0.655 0.659 0.286 1
O10 O 0.655 0.841 0.786 1
O11 O 0.708 0.188 0.475 1
O12 O 0.708 0.312 0.975 1
O13 O 0.777 0.577 0.575 1
O14 O 0.777 0.923 0.075 1
O15 O 0.942 0.201 0.637 1
O16 O 0.942 0.299 0.137 1
```